Version a
UCO6: relaxed, GGA-PBE.

**Spin magnetization**: 1.0 μB/f.u.

Unit cell a=6.4509 b=11.0180 c=17.3238 alpha=90.00 beta=90.00 gamma=90.00
Fractional coordinates of all 64 atoms:
1 U 0.1617 0.0350 0.0755
2 U 0.1617 0.4650 0.5755
3 U 0.3383 0.5350 0.0755
4 U 0.3383 0.9650 0.5755
5 U 0.6617 0.0350 0.4245
6 U 0.6617 0.4650 0.9245
7 U 0.8383 0.5350 0.4245
8 U 0.8383 0.9650 0.9245
9 C 0.1714 0.6934 0.2837
10 C 0.1714 0.8066 0.7837
11 C 0.3286 0.1934 0.2837
12 C 0.3286 0.3066 0.7837
13 C 0.6714 0.6934 0.2163
14 C 0.6714 0.8066 0.7163
15 C 0.8286 0.1934 0.2163
16 C 0.8286 0.3066 0.7163
17 O 0.0421 0.5713 0.6451
18 O 0.0421 0.9287 0.1451
19 O 0.0648 0.0171 0.5971
20 O 0.0648 0.4829 0.0971
21 O 0.1100 0.7393 0.3403
22 O 0.1100 0.7607 0.8403
23 O 0.1355 0.5668 0.4700
24 O 0.1355 0.9332 0.9700
25 O 0.2312 0.6465 0.2269
26 O 0.2312 0.8535 0.7269
27 O 0.2483 0.6794 0.0345
28 O 0.2483 0.8206 0.5345
29 O 0.2517 0.1794 0.0345
30 O 0.2517 0.3206 0.5345
31 O 0.2688 0.1465 0.2269
32 O 0.2688 0.3535 0.7269
33 O 0.3645 0.0668 0.4700
34 O 0.3645 0.4332 0.9700
35 O 0.3900 0.2393 0.3403
36 O 0.3900 0.2607 0.8403
37 O 0.4352 0.5171 0.5971
38 O 0.4352 0.9829 0.0971
39 O 0.4579 0.0713 0.6451
40 O 0.4579 0.4287 0.1451
41 O 0.5421 0.5713 0.8549
42 O 0.5421 0.9287 0.3549
43 O 0.5648 0.0171 0.9029
44 O 0.5648 0.4829 0.4029
45 O 0.6100 0.7393 0.1597
46 O 0.6100 0.7607 0.6597
47 O 0.6355 0.5668 0.0300
48 O 0.6355 0.9332 0.5300
49 O 0.7312 0.6465 0.2731
50 O 0.7312 0.8535 0.7731
51 O 0.7483 0.6794 0.4655
52 O 0.7483 0.8206 0.9655
53 O 0.7517 0.1794 0.4655
54 O 0.7517 0.3206 0.9655
55 O 0.7688 0.1465 0.2731
56 O 0.7688 0.3535 0.7731
57 O 0.8645 0.0668 0.0300
58 O 0.8645 0.4332 0.5300
59 O 0.8900 0.2393 0.1597
60 O 0.8900 0.2607 0.6597
61 O 0.9352 0.5171 0.9029
62 O 0.9352 0.9829 0.4029
63 O 0.9579 0.0713 0.8549
64 O 0.9579 0.4287 0.3549


Version b
UCO6: relaxed, GGA-PBE.

**Spin magnetization**: 0.0 μB/f.u.

Unit cell a=8.0784 b=8.0784 c=10.7067 alpha=92.75 beta=92.75 gamma=63.29
Fractional coordinates of all 32 atoms:
1 U 0.2009 0.2922 0.2527
2 U 0.2922 0.2009 0.7527
3 U 0.7078 0.7991 0.2473
4 U 0.7991 0.7078 0.7473
5 C 0.2937 0.6579 0.5420
6 C 0.3421 0.7063 0.9580
7 C 0.6579 0.2937 0.0420
8 C 0.7063 0.3421 0.4580
9 O 0.0426 0.4806 0.7244
10 O 0.1137 0.1338 0.1810
11 O 0.1338 0.1137 0.6810
12 O 0.1681 0.2208 0.8961
13 O 0.2071 0.6015 0.4778
14 O 0.2208 0.1681 0.3961
15 O 0.2760 0.4495 0.1837
16 O 0.2873 0.6181 0.8937
17 O 0.3819 0.7127 0.6063
18 O 0.3985 0.7929 0.0222
19 O 0.4495 0.2760 0.6837
20 O 0.4806 0.0426 0.2244
21 O 0.5194 0.9574 0.7756
22 O 0.5505 0.7240 0.3163
23 O 0.6015 0.2071 0.9778
24 O 0.6181 0.2873 0.3937
25 O 0.7127 0.3819 0.1063
26 O 0.7240 0.5505 0.8163
27 O 0.7792 0.8319 0.6039
28 O 0.7929 0.3985 0.5222
29 O 0.8319 0.7792 0.1039
30 O 0.8662 0.8863 0.3190
31 O 0.8863 0.8662 0.8190
32 O 0.9574 0.5194 0.2756


What is the stability order? It is version b, version a, from most stable to least stable.


Version a
OsC: relaxed, GGA-PBE.

**Spin magnetization**: 0.0 μB/f.u.

Unit cell a=2.9287 b=2.9287 c=5.5054 alpha=90.00 beta=90.00 gamma=120.00
Fractional coordinates of all 4 atoms:
1 Os 0.0000 0.0000 0.0000
2 Os 0.0000 0.0000 0.5000
3 C 0.3333 0.6667 0.2500
4 C 0.6667 0.3333 0.7500


Version b
OsC: relaxed, GGA-PBE.

**Spin magnetization**: 0.0 μB/f.u.

Unit cell a=3.0845 b=3.0845 c=3.0845 alpha=60.00 beta=60.00 gamma=60.00
Fractional coordinates of all 2 atoms:
1 Os 0.0000 0.0000 0.0000
2 C 0.5000 0.5000 0.5000


Version c
OsC: relaxed, GGA-PBE.

**Spin magnetization**: 0.0 μB/f.u.

Unit cell a=2.9479 b=2.9479 c=2.7303 alpha=90.00 beta=90.00 gamma=120.00
Fractional coordinates of all 2 atoms:
1 Os 0.0000 0.0000 0.0000
2 C 0.6667 0.3333 0.5000


Version d
OsC: relaxed, GGA-PBE.

**Spin magnetization**: 0.0 μB/f.u.

Unit cell a=4.4660 b=4.4660 c=4.4660 alpha=90.00 beta=90.00 gamma=90.00
Fractional coordinates of all 8 atoms:
1 Os 0.1798 0.3202 0.6798
2 Os 0.3202 0.6798 0.1798
3 Os 0.6798 0.1798 0.3202
4 Os 0.8202 0.8202 0.8202
5 C 0.0571 0.9429 0.4429
6 C 0.4429 0.0571 0.9429
7 C 0.5571 0.5571 0.5571
8 C 0.9429 0.4429 0.0571


What is the stability order? It is version d, version c, version a, version b, from most stable to least stable.


Version a
OsC: relaxed, GGA-PBE.

**Spin magnetization**: 0.0 μB/f.u.

Unit cell a=2.6976 b=2.6976 c=2.6976 alpha=90.00 beta=90.00 gamma=90.00
Fractional coordinates of all 2 atoms:
1 Os 0.0000 0.0000 0.0000
2 C 0.5000 0.5000 0.5000


Version b
OsC: relaxed, GGA-PBE.

**Spin magnetization**: 0.0 μB/f.u.

Unit cell a=3.2615 b=3.2615 c=3.2615 alpha=60.00 beta=60.00 gamma=60.00
Fractional coordinates of all 2 atoms:
1 Os 0.0000 0.0000 0.0000
2 C 0.7500 0.7500 0.7500


What is the stability order? It is version b, version a, from most stable to least stable.


Version a
ReC: relaxed, GGA-PBE.

**Spin magnetization**: 0.0 μB/f.u.

Unit cell a=2.8865 b=2.8865 c=2.8245 alpha=90.00 beta=90.00 gamma=120.00
Fractional coordinates of all 2 atoms:
1 Re 0.0000 0.0000 0.0000
2 C 0.3333 0.6667 0.5000


Version b
ReC: relaxed, GGA-PBE.

**Spin magnetization**: 0.0 μB/f.u.

Unit cell a=2.8963 b=2.8963 c=11.3173 alpha=90.00 beta=90.00 gamma=120.00
Fractional coordinates of all 8 atoms:
1 Re 0.3333 0.6667 0.1261
2 Re 0.3333 0.6667 0.3739
3 Re 0.6667 0.3333 0.6261
4 Re 0.6667 0.3333 0.8739
5 C 0.0000 0.0000 0.0000
6 C 0.0000 0.0000 0.5000
7 C 0.3333 0.6667 0.7500
8 C 0.6667 0.3333 0.2500


What is the stability order? It is version a, version b, from most stable to least stable.


Version a
ReC: relaxed, GGA-PBE.

**Spin magnetization**: 0.0 μB/f.u.

Unit cell a=2.7007 b=2.7007 c=2.7007 alpha=90.00 beta=90.00 gamma=90.00
Fractional coordinates of all 2 atoms:
1 Re 0.0000 0.0000 0.0000
2 C 0.5000 0.5000 0.5000


Version b
ReC: relaxed, GGA-PBE.

**Spin magnetization**: 0.0 μB/f.u.

Unit cell a=3.0848 b=3.0848 c=3.0848 alpha=60.00 beta=60.00 gamma=60.00
Fractional coordinates of all 2 atoms:
1 Re 0.0000 0.0000 0.0000
2 C 0.5000 0.5000 0.5000


What is the stability order? It is version b, version a, from most stable to least stable.


Version a
Si8C3: relaxed, GGA-PBE.

**Spin magnetization**: 0.0 μB/f.u.

Unit cell a=4.9425 b=12.2021 c=12.2996 alpha=60.96 beta=79.62 gamma=89.59
Fractional coordinates of all 44 atoms:
1 Si 0.0012 0.3960 0.0900
2 Si 0.0324 0.4001 0.8243
3 Si 0.0755 0.7794 0.4531
4 Si 0.1355 0.9975 0.1369
5 Si 0.1429 0.9422 0.5913
6 Si 0.2115 0.1953 0.9264
7 Si 0.2195 0.3873 0.5413
8 Si 0.2603 0.1690 0.2645
9 Si 0.2759 0.6119 0.6066
10 Si 0.2882 0.9015 0.9198
11 Si 0.3158 0.4084 0.2401
12 Si 0.3193 0.6892 0.9698
13 Si 0.3437 0.2096 0.4284
14 Si 0.3488 0.7846 0.2048
15 Si 0.3614 0.5618 0.3259
16 Si 0.4919 0.9786 0.3354
17 Si 0.5081 0.0214 0.6646
18 Si 0.6386 0.4382 0.6741
19 Si 0.6512 0.2154 0.7952
20 Si 0.6563 0.7904 0.5716
21 Si 0.6807 0.3108 0.0302
22 Si 0.6842 0.5916 0.7599
23 Si 0.7118 0.0985 0.0802
24 Si 0.7241 0.3881 0.3934
25 Si 0.7397 0.8310 0.7355
26 Si 0.7805 0.6127 0.4587
27 Si 0.7885 0.8047 0.0736
28 Si 0.8571 0.0578 0.4087
29 Si 0.8645 0.0025 0.8631
30 Si 0.9245 0.2206 0.5469
31 Si 0.9676 0.5999 0.1757
32 Si 0.9988 0.6040 0.9100
33 C 0.0746 0.5758 0.7700
34 C 0.1225 0.8721 0.0870
35 C 0.2558 0.4372 0.6593
36 C 0.2738 0.8858 0.2853
37 C 0.3416 0.8614 0.5117
38 C 0.3539 0.3375 0.1205
39 C 0.6461 0.6625 0.8795
40 C 0.6584 0.1386 0.4883
41 C 0.7262 0.1142 0.7147
42 C 0.7442 0.5628 0.3407
43 C 0.8775 0.1279 0.9130
44 C 0.9254 0.4242 0.2300


Version b
Si8C3: relaxed, GGA-PBE.

**Spin magnetization**: 0.0 μB/f.u.

Unit cell a=5.1732 b=11.5925 c=12.1360 alpha=68.35 beta=86.94 gamma=88.25
Fractional coordinates of all 44 atoms:
1 Si 0.0134 0.1244 0.2244
2 Si 0.0164 0.0875 0.9064
3 Si 0.0411 0.3614 0.4043
4 Si 0.1038 0.6804 0.9208
5 Si 0.1292 0.0772 0.6110
6 Si 0.1625 0.4318 0.6372
7 Si 0.1765 0.5299 0.1353
8 Si 0.1927 0.8303 0.5347
9 Si 0.2001 0.6681 0.2404
10 Si 0.2863 0.4129 0.9106
11 Si 0.3578 0.9080 0.2422
12 Si 0.3762 0.1982 0.9469
13 Si 0.4350 0.4919 0.3611
14 Si 0.4616 0.2194 0.5731
15 Si 0.4622 0.3319 0.1765
16 Si 0.4817 0.1112 0.2489
17 Si 0.5183 0.8888 0.7511
18 Si 0.5378 0.6681 0.8235
19 Si 0.5384 0.7806 0.4269
20 Si 0.5650 0.5081 0.6389
21 Si 0.6238 0.8018 0.0531
22 Si 0.6422 0.0920 0.7578
23 Si 0.7137 0.5871 0.0894
24 Si 0.7999 0.3319 0.7596
25 Si 0.8073 0.1697 0.4653
26 Si 0.8235 0.4701 0.8647
27 Si 0.8375 0.5682 0.3628
28 Si 0.8708 0.9228 0.3890
29 Si 0.8962 0.3196 0.0792
30 Si 0.9589 0.6386 0.5957
31 Si 0.9836 0.9125 0.0936
32 Si 0.9866 0.8756 0.7756
33 C 0.0061 0.9598 0.2288
34 C 0.2172 0.4066 0.0649
35 C 0.2368 0.9092 0.6440
36 C 0.2852 0.3781 0.5135
37 C 0.2986 0.3992 0.2815
38 C 0.3143 0.8254 0.1338
39 C 0.6857 0.1746 0.8662
40 C 0.7014 0.6008 0.7185
41 C 0.7148 0.6219 0.4865
42 C 0.7632 0.0908 0.3560
43 C 0.7828 0.5934 0.9351
44 C 0.9939 0.0402 0.7712


What is the stability order? It is version b, version a, from most stable to least stable.


Version a
SiC2: relaxed, GGA-PBE.

**Spin magnetization**: 0.0 μB/f.u.

Unit cell a=3.1858 b=3.1858 c=6.8803 alpha=90.00 beta=90.00 gamma=90.00
Fractional coordinates of all 6 atoms:
1 Si 0.0000 0.0000 0.2500
2 Si 0.0000 0.0000 0.7500
3 C 0.0000 0.5000 0.0992
4 C 0.0000 0.5000 0.9008
5 C 0.5000 0.0000 0.4008
6 C 0.5000 0.0000 0.5992


Version b
SiC2: relaxed, GGA-PBE.

**Spin magnetization**: 0.0 μB/f.u.

Unit cell a=4.7862 b=4.7862 c=4.7862 alpha=90.00 beta=90.00 gamma=90.00
Fractional coordinates of all 12 atoms:
1 Si 0.0000 0.0000 0.0000
2 Si 0.0000 0.5000 0.5000
3 Si 0.5000 0.0000 0.5000
4 Si 0.5000 0.5000 0.0000
5 C 0.0822 0.5822 0.9178
6 C 0.0822 0.9178 0.4178
7 C 0.4178 0.0822 0.9178
8 C 0.4178 0.4178 0.4178
9 C 0.5822 0.5822 0.5822
10 C 0.5822 0.9178 0.0822
11 C 0.9178 0.0822 0.5822
12 C 0.9178 0.4178 0.0822


What is the stability order? It is version a, version b, from most stable to least stable.


Version a
SnC: relaxed, GGA-PBE.

**Piezoelectric modulus e_max**: 0.085 C/m2
**Spin magnetization**: 0.0 μB/f.u.

Unit cell a=3.5968 b=3.5968 c=3.5968 alpha=60.00 beta=60.00 gamma=60.00
Fractional coordinates of all 2 atoms:
1 Sn 0.0000 0.0000 0.0000
2 C 0.7500 0.7500 0.7500


Version b
SnC: relaxed, GGA-PBE.

**Spin magnetization**: 0.0 μB/f.u.

Unit cell a=3.3871 b=3.3871 c=3.3871 alpha=60.00 beta=60.00 gamma=60.00
Fractional coordinates of all 2 atoms:
1 Sn 0.0000 0.0000 0.0000
2 C 0.5000 0.5000 0.5000


What is the stability order? It is version a, version b, from most stable to least stable.


Version a
TbC2: relaxed, GGA-PBE.

Unit cell a=4.0712 b=4.0712 c=4.0712 alpha=126.07 beta=126.07 gamma=79.77
Fractional coordinates of all 3 atoms:
1 Tb 0.0000 0.0000 0.0000
2 C 0.3958 0.3958 0.0000
3 C 0.6042 0.6042 0.0000


Version b
TbC2: relaxed, GGA-PBE.

**Spin magnetization**: 0.0 μB/f.u.

Unit cell a=3.9330 b=3.9330 c=3.9330 alpha=123.76 beta=105.75 gamma=99.96
Fractional coordinates of all 3 atoms:
1 Tb 0.0000 0.0000 0.0000
2 C 0.3610 0.4982 0.8628
3 C 0.6354 0.4982 0.1372


What is the stability order? It is version a, version b, from most stable to least stable.